Density functional theory data (PBE) for an optimized crystal structure of Sb4Cl2O5.

a = 6.383 Å, b = 5.227 Å, c = 13.822 Å
α = 90.00°, β = 95.70°, γ = 90.00°
Sites, in units of the cell vectors:
Sb  0.184  0.222  0.047
Sb  0.184  0.278  0.547
Sb  0.202  0.603  0.296
Sb  0.202  0.897  0.796
Sb  0.798  0.103  0.204
Sb  0.798  0.397  0.704
Sb  0.816  0.722  0.453
Sb  0.816  0.778  0.953
Cl  0.489  0.215  0.383
Cl  0.489  0.285  0.883
Cl  0.511  0.715  0.117
Cl  0.511  0.785  0.617
O  0.000  0.000  0.500
O  0.000  0.500  0.000
O  0.070  0.007  0.919
O  0.070  0.493  0.419
O  0.073  0.174  0.710
O  0.073  0.326  0.210
O  0.927  0.674  0.790
O  0.927  0.826  0.290
O  0.930  0.507  0.581
O  0.930  0.993  0.081

Results
DFT total energy	-5.35	eV per atom
ρ	4.6	Mg/m³
formation enthalpy at 0 K	-1.579	eV/atom